Record 1
## NdC3O10 (PBE)

Data for a relaxed structure of NdC3O10.

Computed properties:
energy with MP2020 corrections = -7.241 eV per atom
SG = P2_1/c
spin magnetization = 8.002 μB per cell
ΔH_f (0 K) = -1.39 eV/atom

Cell: 11.685 9.489 9.836 Å, 90.00 108.89 90.00°
Sites, in units of the cell vectors:
Nd  0.143  0.079  0.315
Nd  0.143  0.421  0.815
Nd  0.857  0.579  0.185
Nd  0.857  0.921  0.685
C  0.032  0.574  0.512
C  0.032  0.926  0.012
C  0.134  0.082  0.672
C  0.134  0.418  0.172
C  0.482  0.603  0.863
C  0.482  0.897  0.363
C  0.518  0.103  0.637
C  0.518  0.397  0.137
C  0.866  0.582  0.828
C  0.866  0.918  0.328
C  0.968  0.074  0.988
C  0.968  0.426  0.488
O  0.001  0.160  0.091
O  0.001  0.340  0.591
O  0.056  0.006  0.698
O  0.056  0.494  0.198
O  0.112  0.595  0.633
O  0.112  0.905  0.133
O  0.169  0.084  0.565
O  0.169  0.416  0.065
O  0.190  0.172  0.789
O  0.190  0.328  0.289
O  0.270  0.705  0.004
O  0.270  0.795  0.504
O  0.276  0.226  0.263
O  0.276  0.274  0.763
O  0.372  0.696  0.092
O  0.372  0.804  0.592
O  0.381  0.576  0.796
O  0.381  0.924  0.296
O  0.417  0.129  0.569
O  0.417  0.371  0.069
O  0.583  0.629  0.931
O  0.583  0.871  0.431
O  0.619  0.076  0.704
O  0.619  0.424  0.204
O  0.628  0.196  0.408
O  0.628  0.304  0.908
O  0.724  0.726  0.237
O  0.724  0.774  0.737
O  0.730  0.205  0.496
O  0.730  0.295  0.996
O  0.810  0.672  0.711
O  0.810  0.828  0.211
O  0.831  0.584  0.935
O  0.831  0.916  0.435
O  0.888  0.095  0.867
O  0.888  0.405  0.367
O  0.944  0.506  0.802
O  0.944  0.994  0.302
O  0.999  0.660  0.409
O  0.999  0.840  0.909

=====

Record 2
## CsCuBr3 (PBE)

Data for a relaxed structure of CsCuBr3.

Computed properties:
energy with MP2020 corrections = -3.233 eV per atom
SG = C222_1
piezoelectric modulus e_max = 0.2 C/m²
ΔH_f (0 K) = -1.25 eV/atom

Cell: 7.589 7.589 13.060 Å, 90.00 90.00 117.81°
Sites, in units of the cell vectors:
Cs  0.181  0.819  0.750
Cs  0.488  0.488  0.500
Cs  0.512  0.512  0.000
Cs  0.819  0.181  0.250
Cu  0.145  0.844  0.378
Cu  0.156  0.855  0.122
Cu  0.844  0.145  0.622
Cu  0.855  0.156  0.878
Br  0.000  0.000  0.000
Br  0.000  0.000  0.500
Br  0.027  0.564  0.018
Br  0.167  0.308  0.788
Br  0.297  0.703  0.250
Br  0.308  0.167  0.212
Br  0.436  0.973  0.482
Br  0.564  0.027  0.982
Br  0.692  0.833  0.712
Br  0.703  0.297  0.750
Br  0.833  0.692  0.288
Br  0.973  0.436  0.518